No. 1
First-principles (PBE+U) data for a relaxed Li4Ti4Cr4NiO18 crystal, as listed in Materials Project.

Cell lengths 9.2689, 24.1776, 2.9321 Å; angles 90.00, 90.00, 90.00 degrees
Sites, in units of the cell vectors:
Li  0.2011  0.9894  0.0000
Li  0.1680  0.1914  0.0000
Li  0.3320  0.6914  0.0000
Li  0.2989  0.4894  0.0000
Li  0.7011  0.5106  0.0000
Li  0.6680  0.3086  0.0000
Li  0.8320  0.8086  0.0000
Li  0.7989  0.0106  0.0000
Ti  0.9818  0.0984  0.0000
Ti  0.1898  0.8091  0.5000
Ti  0.3102  0.3091  0.5000
Ti  0.5182  0.5984  0.0000
Ti  0.4818  0.4016  0.0000
Ti  0.6898  0.6909  0.5000
Ti  0.8102  0.1909  0.5000
Ti  0.0182  0.9016  0.0000
Cr  0.9655  0.3167  0.0000
Cr  0.1701  0.5863  0.5000
Cr  0.3299  0.0863  0.5000
Cr  0.5345  0.8167  0.0000
Cr  0.4655  0.1833  0.0000
Cr  0.6701  0.9137  0.5000
Cr  0.8299  0.4137  0.5000
Cr  0.0345  0.6833  0.0000
Ni  0.0000  0.5000  0.0000
Ni  0.5000  0.0000  0.0000
O  0.9687  0.4055  0.0000
O  0.0313  0.5945  0.0000
O  0.0780  0.9476  0.5000
O  0.0215  0.1557  0.5000
O  0.1749  0.6662  0.5000
O  0.1351  0.7583  0.0000
O  0.1344  0.5039  0.5000
O  0.1056  0.2976  0.5000
O  0.2068  0.8620  0.0000
O  0.1853  0.0762  0.0000
O  0.3147  0.5762  0.0000
O  0.2932  0.3620  0.0000
O  0.3944  0.7976  0.5000
O  0.3656  0.0039  0.5000
O  0.3649  0.2583  0.0000
O  0.3251  0.1662  0.5000
O  0.4785  0.6557  0.5000
O  0.4220  0.4476  0.5000
O  0.4687  0.0945  0.0000
O  0.5313  0.9055  0.0000
O  0.5780  0.5524  0.5000
O  0.5215  0.3443  0.5000
O  0.6749  0.8338  0.5000
O  0.6351  0.7417  0.0000
O  0.6344  0.9961  0.5000
O  0.6056  0.2024  0.5000
O  0.7068  0.6380  0.0000
O  0.6853  0.4238  0.0000
O  0.8147  0.9238  0.0000
O  0.7932  0.1380  0.0000
O  0.8944  0.7024  0.5000
O  0.8656  0.4961  0.5000
O  0.8649  0.2417  0.0000
O  0.8251  0.3338  0.5000
O  0.9785  0.8443  0.5000
O  0.9220  0.0524  0.5000

Output
Raw total energy in eV/atom: -7.4502
Calculated formation energy in eV/atom: -2.62

---

No. 2
First-principles (PBE+U) data for a relaxed PrMgCr2O6 crystal, as listed in Materials Project.

Cell lengths 5.2856, 5.4350, 7.7184 Å; angles 90.00, 90.00, 90.00 degrees
Sites, in units of the cell vectors:
Pr  0.0084  0.7011  0.0000
Pr  0.5084  0.2989  0.5000
Mg  0.4801  0.1945  0.0000
Mg  0.9801  0.8055  0.5000
Cr  0.9965  0.2430  0.7496
Cr  0.9965  0.2430  0.2504
Cr  0.4965  0.7570  0.2496
Cr  0.4965  0.7570  0.7504
O  0.0835  0.1945  0.5000
O  0.2119  0.9749  0.8069
O  0.2119  0.9749  0.1931
O  0.3182  0.4497  0.1934
O  0.3182  0.4497  0.8066
O  0.3723  0.7260  0.5000
O  0.5835  0.8055  0.0000
O  0.7119  0.0251  0.6931
O  0.7119  0.0251  0.3069
O  0.8182  0.5503  0.6934
O  0.8182  0.5503  0.3066
O  0.8723  0.2740  0.0000

Output
Raw total energy in eV/atom: -7.4259
Calculated formation energy in eV/atom: -2.70

---

No. 3
First-principles (PBE+U) data for a relaxed MgW2O4 crystal, as listed in Materials Project.

Cell lengths 3.1760, 9.6544, 11.0845 Å; angles 90.00, 90.00, 90.00 degrees
Sites, in units of the cell vectors:
Mg  0.2500  0.7472  0.3451
Mg  0.7500  0.2528  0.6549
Mg  0.2500  0.2472  0.1549
Mg  0.7500  0.7528  0.8451
W  0.7500  0.8953  0.0993
W  0.2500  0.6047  0.5993
W  0.7500  0.3953  0.4007
W  0.2500  0.1047  0.9007
W  0.2500  0.0485  0.3767
W  0.7500  0.9515  0.6233
W  0.2500  0.5485  0.1233
W  0.7500  0.4515  0.8767
O  0.7500  0.3986  0.0708
O  0.2500  0.6014  0.9292
O  0.7500  0.8986  0.4292
O  0.2500  0.1014  0.5708
O  0.7500  0.5808  0.7224
O  0.2500  0.4192  0.2776
O  0.7500  0.0808  0.7776
O  0.2500  0.9192  0.2224
O  0.7500  0.1162  0.0444
O  0.2500  0.8838  0.9556
O  0.7500  0.6162  0.4556
O  0.2500  0.3838  0.5444
O  0.2500  0.3122  0.8124
O  0.7500  0.6878  0.1876
O  0.7500  0.1878  0.3124
O  0.2500  0.8122  0.6876

Output
Offset from the most stable computed form in eV/atom: 0.1210
Raw total energy in eV/atom: -6.8882
Calculated formation energy in eV/atom: -1.79

---

No. 4
First-principles (PBE+U) data for a relaxed MnOF crystal, as listed in Materials Project.

Cell lengths 4.5362, 5.7005, 5.1792 Å; angles 90.00, 90.00, 90.00 degrees
Sites, in units of the cell vectors:
Mn  0.0144  0.8488  0.7236
Mn  0.0144  0.1512  0.2236
Mn  0.5144  0.3488  0.7764
Mn  0.5144  0.6512  0.2764
O  0.2261  0.1156  0.9027
O  0.2261  0.8844  0.4027
O  0.7261  0.3844  0.0973
O  0.7261  0.6156  0.5973
F  0.2595  0.3820  0.4629
F  0.2595  0.6180  0.9629
F  0.7595  0.1180  0.5371
F  0.7595  0.8820  0.0371

Output
Raw total energy in eV/atom: -6.7167
Calculated formation energy in eV/atom: -2.31

---

No. 5
First-principles (PBE+U) data for a relaxed Sr2Y2Cr2O7 crystal, as listed in Materials Project.

Cell lengths 12.8945, 12.8945, 12.8945 Å; angles 154.81, 154.43, 36.20 degrees
Sites, in units of the cell vectors:
Sr  0.8299  0.8446  0.9637
Sr  0.1701  0.1337  0.0147
Sr  0.6191  0.6337  0.9637
Sr  0.3809  0.3446  0.0147
Y  0.5000  0.4780  0.9780
Y  0.0000  0.9780  0.9780
Y  0.2009  0.7719  0.4728
Y  0.7991  0.2719  0.5709
Cr  0.9309  0.4008  0.4738
Cr  0.0691  0.5429  0.4698
Cr  0.5731  0.0429  0.4738
Cr  0.4269  0.9008  0.4698
O  0.8328  0.6634  0.9962
O  0.1672  0.1634  0.8307
O  0.7292  0.7001  0.5485
O  0.2708  0.8193  0.9709
O  0.3484  0.3193  0.5485
O  0.6516  0.2001  0.9709
O  0.1410  0.1113  0.3811
O  0.8590  0.2401  0.9703
O  0.7698  0.7401  0.3811
O  0.2302  0.6113  0.9703
O  0.3839  0.7693  0.4883
O  0.6161  0.1045  0.3855
O  0.2190  0.6045  0.4883
O  0.7810  0.2693  0.3855

Output
Raw total energy in eV/atom: -7.7130
Calculated formation energy in eV/atom: -2.99

---

No. 6
First-principles (PBE+U) data for a relaxed LiFe4B4O12 crystal, as listed in Materials Project.

Cell lengths 5.3259, 8.9709, 10.1706 Å; angles 89.69, 89.06, 89.94 degrees
Sites, in units of the cell vectors:
Li  0.6525  0.9917  0.8426
Li  0.3404  0.9984  0.1040
Fe  0.8422  0.8350  0.1243
Fe  0.1611  0.8309  0.3719
Fe  0.6661  0.6583  0.8718
Fe  0.3411  0.6651  0.6229
Fe  0.6638  0.3344  0.3702
Fe  0.8470  0.1699  0.6200
Fe  0.3371  0.3392  0.1246
Fe  0.1528  0.1681  0.8718
B  0.8373  0.8286  0.6273
B  0.6723  0.6710  0.3766
B  0.1752  0.8311  0.8720
B  0.3417  0.6704  0.1214
B  0.6584  0.3281  0.8725
B  0.3343  0.3286  0.6184
B  0.8255  0.1690  0.1231
B  0.1695  0.1694  0.3684
O  0.7431  0.9683  0.6470
O  0.9174  0.8192  0.9010
O  0.2989  0.9624  0.8946
O  0.8106  0.7939  0.3333
O  0.6984  0.7036  0.6675
O  0.2222  0.8003  0.1699
O  0.0773  0.8079  0.5720
O  0.5753  0.6883  0.0604
O  0.7664  0.5311  0.3698
O  0.4289  0.6965  0.4278
O  0.3059  0.7073  0.8231
O  0.7744  0.4621  0.8602
O  0.2289  0.5356  0.1349
O  0.7001  0.2958  0.1712
O  0.5759  0.3027  0.5660
O  0.2393  0.4681  0.6254
O  0.4268  0.3109  0.9348
O  0.9278  0.1914  0.4226
O  0.7752  0.1993  0.8206
O  0.3058  0.2948  0.3266
O  0.1957  0.2059  0.6629
O  0.6992  0.0387  0.1049
O  0.0827  0.1799  0.0910
O  0.2656  0.0303  0.3547

Output
Offset from the most stable computed form in eV/atom: 0.0020
Raw total energy in eV/atom: -7.2135
Calculated formation energy in eV/atom: -2.23

---

No. 7
First-principles (PBE+U) data for a relaxed Nd4Ni3O10 crystal, as listed in Materials Project.

Cell lengths 5.5267, 5.4456, 14.0839 Å; angles 79.49, 90.00, 90.00 degrees
Sites, in units of the cell vectors:
Nd  0.5072  0.8885  0.1369
Nd  0.4928  0.1115  0.8631
Nd  0.9840  0.3066  0.3997
Nd  0.9928  0.3885  0.1369
Nd  0.5160  0.8066  0.3997
Nd  0.0160  0.6934  0.6003
Nd  0.4840  0.1934  0.6003
Nd  0.0072  0.6115  0.8631
Ni  0.0043  0.8517  0.2800
Ni  0.9957  0.1483  0.7200
Ni  0.5043  0.6483  0.7200
Ni  0.5000  0.5000  0.0000
Ni  0.4957  0.3517  0.2800
Ni  0.0000  0.0000  0.0000
O  0.0827  0.9447  0.1368
O  0.0615  0.2299  0.5646
O  0.4385  0.7299  0.5646
O  0.5615  0.2701  0.4354
O  0.5827  0.5553  0.8632
O  0.4173  0.4447  0.1368
O  0.2620  0.9025  0.7375
O  0.7872  0.6929  0.0254
O  0.7128  0.1929  0.0254
O  0.7606  0.8983  0.6963
O  0.7620  0.5975  0.2625
O  0.2380  0.4025  0.7375
O  0.9385  0.7701  0.4354
O  0.9173  0.0553  0.8632
O  0.2394  0.1017  0.3037
O  0.2128  0.3071  0.9746
O  0.2872  0.8071  0.9746
O  0.2606  0.6017  0.3037
O  0.7394  0.3983  0.6963
O  0.7380  0.0975  0.2625

Output
Offset from the most stable computed form in eV/atom: 0.2182
Raw total energy in eV/atom: -6.6455
Calculated formation energy in eV/atom: -2.45

---

No. 8
First-principles (PBE+U) data for a relaxed Mn3V2O8 crystal, as listed in Materials Project.

Cell lengths 6.3294, 6.7521, 8.6203 Å; angles 90.00, 90.00, 117.95 degrees
Sites, in units of the cell vectors:
Mn  0.1120  0.7240  0.2500
Mn  0.3880  0.2760  0.7500
Mn  0.6120  0.7240  0.2500
Mn  0.8880  0.2760  0.7500
Mn  0.5000  0.0000  0.5000
Mn  0.0000  0.0000  0.0000
V  0.8805  0.7610  0.6183
V  0.1195  0.2390  0.3817
V  0.6195  0.2390  0.1183
V  0.3805  0.7610  0.8817
O  0.1074  0.7669  0.5015
O  0.3405  0.2331  0.4985
O  0.3927  0.2331  0.0015
O  0.1595  0.7669  0.9985
O  0.8926  0.2331  0.4985
O  0.6595  0.7669  0.5015
O  0.6074  0.7669  0.9985
O  0.8405  0.2331  0.0015
O  0.4995  0.9989  0.7488
O  0.5005  0.0011  0.2512
O  0.2539  0.5078  0.7780
O  0.7461  0.4922  0.2220
O  0.2461  0.4922  0.2781
O  0.0005  0.0011  0.2488
O  0.9995  0.9989  0.7512
O  0.7539  0.5078  0.7220

Output
Offset from the most stable computed form in eV/atom: 0.0000
Raw total energy in eV/atom: -7.7683
Calculated formation energy in eV/atom: -2.28

---

No. 9
First-principles (PBE+U) data for a relaxed Na2V3O7 crystal, as listed in Materials Project.

Cell lengths 11.0942, 11.0942, 9.7014 Å; angles 90.00, 90.00, 120.00 degrees
Sites, in units of the cell vectors:
Na  0.5215  0.0293  0.2489
Na  0.0293  0.5078  0.7511
Na  0.4785  0.9707  0.7511
Na  0.4922  0.5215  0.7511
Na  0.6667  0.3333  0.5682
Na  0.9707  0.4922  0.2489
Na  0.5078  0.4785  0.2489
Na  0.3333  0.6667  0.0704
Na  0.0000  0.0000  0.0000
Na  0.6667  0.3333  0.9296
Na  0.0000  0.0000  0.5000
Na  0.3333  0.6667  0.4318
V  0.1861  0.8699  0.9000
V  0.7928  0.6830  0.4010
V  0.3153  0.1484  0.7505
V  0.6830  0.8902  0.5990
V  0.8699  0.6838  0.1000
V  0.8331  0.6847  0.7505
V  0.3162  0.1861  0.1000
V  0.3170  0.1098  0.4010
V  0.6847  0.8516  0.2495
V  0.8902  0.2072  0.4010
V  0.2072  0.3170  0.5990
V  0.1669  0.3153  0.2495
V  0.1301  0.3162  0.9000
V  0.8516  0.1669  0.7505
V  0.8139  0.1301  0.1000
V  0.1484  0.8331  0.2495
V  0.6838  0.8139  0.9000
V  0.1098  0.7928  0.5990
O  0.8331  0.0804  0.5671
O  0.1669  0.9196  0.4329
O  0.8340  0.5217  0.0645
O  0.3316  0.4803  0.5630
O  0.0804  0.2474  0.4329
O  0.7561  0.0513  0.2889
O  0.4803  0.1487  0.4370
O  0.2149  0.7271  0.2478
O  0.1740  0.2380  0.0676
O  0.0513  0.2951  0.7111
O  0.7296  0.7018  0.2113
O  0.5197  0.8513  0.5630
O  0.4783  0.3123  0.0645
O  0.0277  0.7296  0.7887
O  0.2380  0.0640  0.9324
O  0.1487  0.6684  0.5630
O  0.9723  0.2704  0.2113
O  0.9487  0.7049  0.2889
O  0.2982  0.0277  0.2113
O  0.6877  0.1660  0.0645
O  0.0640  0.8260  0.0676
O  0.5217  0.6877  0.9355
O  0.7526  0.8331  0.4329
O  0.5122  0.7851  0.2478
O  0.2729  0.4878  0.2478
O  0.7018  0.9723  0.7887
O  0.8260  0.7620  0.9324
O  0.2439  0.9487  0.7111
O  0.6684  0.5197  0.4370
O  0.9196  0.7526  0.5671
O  0.9360  0.1740  0.9324
O  0.8513  0.3316  0.4370
O  0.7851  0.2729  0.7522
O  0.3123  0.8340  0.9355
O  0.2704  0.2982  0.7887
O  0.7049  0.7561  0.7111
O  0.4878  0.2149  0.7522
O  0.7271  0.5122  0.7522
O  0.1660  0.4783  0.9355
O  0.7620  0.9360  0.0676
O  0.2474  0.1669  0.5671
O  0.2951  0.2439  0.2889

Output
Raw total energy in eV/atom: -6.9768
Calculated formation energy in eV/atom: -2.42

---

No. 10
First-principles (PBE+U) data for a relaxed SrCoGe2O6 crystal, as listed in Materials Project.

Cell lengths 7.9904, 8.0228, 9.8134 Å; angles 76.32, 109.21, 71.80 degrees
Sites, in units of the cell vectors:
Sr  0.1936  0.1791  0.6234
Sr  0.1975  0.6816  0.1243
Sr  0.8060  0.3187  0.8750
Sr  0.8034  0.8206  0.3744
Co  0.5907  0.2850  0.1257
Co  0.4075  0.2176  0.3743
Co  0.5902  0.7832  0.6245
Co  0.4074  0.7172  0.8742
Ge  0.1250  0.9890  0.3253
Ge  0.1207  0.4950  0.8199
Ge  0.8795  0.5053  0.1779
Ge  0.8751  0.0085  0.6776
Ge  0.6824  0.9504  0.9303
Ge  0.6857  0.4501  0.4244
Ge  0.3174  0.5474  0.5702
Ge  0.3149  0.0524  0.0745
O  0.8712  0.9714  0.8660
O  0.8808  0.4659  0.3674
O  0.1259  0.5305  0.6321
O  0.1229  0.0339  0.1341
O  0.1649  0.7377  0.3810
O  0.1630  0.2435  0.8842
O  0.8375  0.7567  0.1177
O  0.8351  0.2590  0.6155
O  0.3138  0.0106  0.4629
O  0.3053  0.5240  0.9548
O  0.6893  0.4806  0.0423
O  0.6873  0.9835  0.5413
O  0.5209  0.8973  0.7965
O  0.5257  0.4000  0.2871
O  0.4790  0.6005  0.7041
O  0.4748  0.1061  0.2100
O  0.8804  0.6073  0.7930
O  0.8893  0.1015  0.3044
O  0.1153  0.8941  0.7054
O  0.1189  0.3956  0.2028
O  0.5957  0.6633  0.4463
O  0.5988  0.1632  0.9570
O  0.4069  0.8393  0.0527
O  0.4006  0.3332  0.5455

Output
Raw total energy in eV/atom: -6.4717
Calculated formation energy in eV/atom: -2.27